Material: LaCo5P3
Method: DFT, PBE-GGA
State: relaxed

Cell: 3.6314 11.4678 11.4376 Å, 90.00 90.00 90.00°
Closest atoms and distances in Å follow each position.
Space group Cmcm (No. 63)
Unique sites:
La: 0.0000 0.1622 0.2500 [4 per cell]  7 P 3.08-3.19, 10 Co 3.19-3.41
Co: 0.0000 0.0000 0.0000 [4 per cell]  4 P 2.30, 6 Co 2.40-2.52
Co: 0.0000 0.1980 0.5681 [8 per cell]  4 P 2.15-2.37, 1 Co 2.40
Co: 0.0000 0.4457 0.1423 [8 per cell]  4 P 2.18-2.30
P: 0.0000 0.1088 0.7500 [4 per cell]  6 Co 2.28-2.32
P: 0.0000 0.3829 0.5376 [8 per cell]  7 Co 2.15-2.37

## Properties
Calculated density in g/cm³: 7.3
Raw total energy in eV/atom: -7.102
Energy of formation from the pure elements in eV per atom: -0.800